The following is a PBE calculation of TlCdSb after structural relaxation, from the Materials Project.

a = 4.985 Å, b = 8.522 Å, c = 8.538 Å
α = 90.00°, β = 90.00°, γ = 90.00°
Fractional coordinates of all 12 atoms:
Tl (0.250, 0.005, 0.822)
Cd (0.750, 0.342, 0.912)
Sb (0.250, 0.799, 0.404)
Cd (0.250, 0.658, 0.088)
Cd (0.750, 0.842, 0.588)
Tl (0.750, 0.995, 0.178)
Tl (0.750, 0.495, 0.322)
Sb (0.250, 0.299, 0.096)
Cd (0.250, 0.158, 0.412)
Sb (0.750, 0.701, 0.904)
Tl (0.250, 0.505, 0.678)
Sb (0.750, 0.201, 0.596)

## Properties
As for the space group: No. 62. Its density is 8.0 g/cm3. The calculation puts the calculated total energy at -30.58 eV per cell. As for the formation energy from the elements: -0.42 eV per formula unit.